Entry 1:
This record from the Materials Project database describes an optimized crystal structure of Ce2Te7Br2O17. The functional is PBE-GGA.

a b c (Å): 9.936 5.507 20.619
angles (deg): 90.00 111.23 90.00
Element x y z (fractional)
Ce 0.005 0.135 0.408
Ce 0.005 0.865 0.908
Ce 0.995 0.135 0.092
Ce 0.995 0.865 0.592
Te 0.000 0.440 0.250
Te 0.000 0.560 0.750
Te 0.263 0.326 0.580
Te 0.263 0.674 0.080
Te 0.285 0.396 0.911
Te 0.285 0.604 0.411
Te 0.326 0.018 0.756
Te 0.326 0.982 0.256
Te 0.674 0.018 0.744
Te 0.674 0.982 0.244
Te 0.715 0.396 0.589
Te 0.715 0.604 0.089
Te 0.737 0.326 0.920
Te 0.737 0.674 0.420
Br 0.470 0.167 0.079
Br 0.470 0.833 0.579
Br 0.530 0.167 0.421
Br 0.530 0.833 0.921
O 0.099 0.211 0.214
O 0.099 0.789 0.714
O 0.114 0.099 0.532
O 0.114 0.901 0.032
O 0.138 0.429 0.089
O 0.138 0.571 0.589
O 0.140 0.162 0.900
O 0.140 0.838 0.400
O 0.157 0.364 0.350
O 0.157 0.636 0.850
O 0.212 0.121 0.663
O 0.212 0.879 0.163
O 0.223 0.404 0.477
O 0.223 0.596 0.977
O 0.275 0.277 0.802
O 0.275 0.723 0.302
O 0.500 0.189 0.750
O 0.500 0.811 0.250
O 0.725 0.277 0.698
O 0.725 0.723 0.198
O 0.777 0.404 0.023
O 0.777 0.596 0.523
O 0.788 0.121 0.837
O 0.788 0.879 0.337
O 0.843 0.364 0.150
O 0.843 0.636 0.650
O 0.860 0.162 0.600
O 0.860 0.838 0.100
O 0.862 0.429 0.411
O 0.862 0.571 0.911
O 0.886 0.099 0.968
O 0.886 0.901 0.468
O 0.901 0.211 0.286
O 0.901 0.789 0.786

## Properties
Total moment   0.0001 μB per atom
Space-group type   P2/c (13)
Uncorrected energy   -327.31 eV per cell

=====

Entry 2:
This record from the Materials Project database describes an optimized crystal structure of Rb2CeBr5. The functional is PBE-GGA.

a b c (Å): 14.116 9.473 8.793
angles (deg): 90.00 90.00 90.00
Element x y z (fractional)
Rb 0.172 0.005 0.053
Rb 0.172 0.495 0.053
Rb 0.328 0.505 0.553
Rb 0.328 0.995 0.553
Rb 0.672 0.005 0.447
Rb 0.672 0.495 0.447
Rb 0.828 0.505 0.947
Rb 0.828 0.995 0.947
Ce 0.004 0.250 0.574
Ce 0.496 0.750 0.074
Ce 0.504 0.250 0.926
Ce 0.996 0.750 0.426
Br 0.010 0.250 0.914
Br 0.074 0.543 0.661
Br 0.074 0.957 0.661
Br 0.175 0.250 0.379
Br 0.199 0.750 0.340
Br 0.301 0.250 0.840
Br 0.325 0.750 0.879
Br 0.426 0.043 0.161
Br 0.426 0.457 0.161
Br 0.490 0.750 0.414
Br 0.510 0.250 0.586
Br 0.574 0.543 0.839
Br 0.574 0.957 0.839
Br 0.675 0.250 0.121
Br 0.699 0.750 0.160
Br 0.801 0.250 0.660
Br 0.825 0.750 0.621
Br 0.926 0.043 0.339
Br 0.926 0.457 0.339
Br 0.990 0.750 0.086

## Properties
Space-group type   Pnma (62)
Uncorrected energy   -123.89 eV per cell

=====

Entry 3:
This record from the Materials Project database describes an optimized crystal structure of CoHgH18Br4N6Cl. The functional is PBE-GGA.

a b c (Å): 12.294 8.071 17.669
angles (deg): 90.00 113.19 90.00
Element x y z (fractional)
Co 0.239 0.245 0.493
Co 0.239 0.255 0.993
Co 0.761 0.745 0.007
Co 0.761 0.755 0.507
Hg 0.291 0.748 0.247
Hg 0.291 0.752 0.747
Hg 0.709 0.248 0.253
Hg 0.709 0.252 0.753
H 0.036 0.117 0.925
H 0.036 0.383 0.425
H 0.050 0.091 0.403
H 0.050 0.409 0.903
H 0.070 0.234 0.043
H 0.070 0.266 0.543
H 0.112 0.081 0.867
H 0.112 0.419 0.367
H 0.138 0.529 0.451
H 0.138 0.971 0.951
H 0.141 0.091 0.574
H 0.141 0.409 0.074
H 0.152 0.053 0.367
H 0.152 0.447 0.867
H 0.153 0.546 0.950
H 0.153 0.954 0.450
H 0.197 0.237 0.125
H 0.197 0.263 0.625
H 0.305 0.124 0.886
H 0.305 0.376 0.386
H 0.313 0.174 0.380
H 0.313 0.326 0.880
H 0.317 0.540 0.541
H 0.317 0.960 0.041
H 0.332 0.072 0.123
H 0.332 0.428 0.623
H 0.348 0.535 0.030
H 0.348 0.965 0.530
H 0.353 0.052 0.616
H 0.353 0.448 0.116
H 0.418 0.226 0.956
H 0.418 0.274 0.456
H 0.426 0.094 0.079
H 0.426 0.406 0.579
H 0.442 0.117 0.573
H 0.442 0.383 0.073
H 0.558 0.617 0.927
H 0.558 0.883 0.427
H 0.574 0.594 0.421
H 0.574 0.906 0.921
H 0.582 0.726 0.544
H 0.582 0.774 0.044
H 0.647 0.552 0.884
H 0.647 0.948 0.384
H 0.652 0.035 0.470
H 0.652 0.465 0.970
H 0.668 0.572 0.377
H 0.668 0.928 0.877
H 0.683 0.040 0.959
H 0.683 0.460 0.459
H 0.687 0.674 0.120
H 0.687 0.826 0.620
H 0.695 0.624 0.614
H 0.695 0.876 0.114
H 0.803 0.737 0.375
H 0.803 0.763 0.875
H 0.847 0.046 0.550
H 0.847 0.454 0.050
H 0.848 0.553 0.133
H 0.848 0.947 0.633
H 0.859 0.591 0.926
H 0.859 0.909 0.426
H 0.862 0.029 0.049
H 0.862 0.471 0.549
H 0.888 0.581 0.633
H 0.888 0.919 0.133
H 0.930 0.734 0.457
H 0.930 0.766 0.957
H 0.950 0.591 0.097
H 0.950 0.909 0.597
H 0.964 0.617 0.575
H 0.964 0.883 0.075
Br 0.149 0.002 0.738
Br 0.149 0.498 0.238
Br 0.180 0.036 0.235
Br 0.180 0.464 0.735
Br 0.383 0.741 0.435
Br 0.383 0.759 0.935
Br 0.488 0.744 0.226
Br 0.488 0.756 0.726
Br 0.512 0.244 0.274
Br 0.512 0.256 0.774
Br 0.617 0.241 0.065
Br 0.617 0.259 0.565
Br 0.820 0.536 0.265
Br 0.820 0.964 0.765
Br 0.851 0.502 0.762
Br 0.851 0.998 0.262
N 0.120 0.090 0.927
N 0.120 0.410 0.427
N 0.139 0.068 0.421
N 0.139 0.432 0.921
N 0.154 0.215 0.566
N 0.154 0.285 0.066
N 0.328 0.230 0.921
N 0.328 0.270 0.421
N 0.338 0.077 0.066
N 0.338 0.423 0.566
N 0.356 0.077 0.560
N 0.356 0.423 0.060
N 0.644 0.577 0.940
N 0.644 0.923 0.440
N 0.662 0.577 0.434
N 0.662 0.923 0.934
N 0.672 0.730 0.579
N 0.672 0.770 0.079
N 0.846 0.715 0.934
N 0.846 0.785 0.434
N 0.861 0.568 0.079
N 0.861 0.932 0.579
N 0.880 0.590 0.573
N 0.880 0.910 0.073
Cl 0.131 0.746 0.042
Cl 0.131 0.754 0.542
Cl 0.869 0.246 0.458
Cl 0.869 0.254 0.958

## Properties
Total moment   0.0008 μB per atom
Space-group type   P2_1/c (14)
Uncorrected energy   -567.79 eV per cell

=====

Energy of formation (computed, meV per atom): -1931 -2195 -505
Volume (computed, Å³/cell): 1052 1176 1611